Below is a relaxed structure of Sr5CdN4, with properties calculated at the GGA-PBE level.

Calculated values
The calculation puts the theoretical density at 4.1 g cm⁻³. The calculation puts the energy at -365.6 eV for the cell shown. Its formation energy is -0.442 eV per atom. The calculation puts the total energy after the MP2020 corrections at -377.1 eV/cell.

Cell lengths 11.2135, 15.8466, 11.2432 Å; angles 90.00, 99.17, 90.00 degrees
Sites, in units of the cell vectors:
1 Sr 0.0000 0.0000 0.0000
2 Sr 0.0000 0.5000 0.0000
3 Sr 0.0195 0.2500 0.9948
4 Sr 0.1194 0.1208 0.7278
5 Sr 0.1194 0.3792 0.7278
6 Sr 0.1686 0.6396 0.8168
7 Sr 0.1686 0.8604 0.8168
8 Sr 0.2191 0.5237 0.5058
9 Sr 0.2191 0.9763 0.5058
10 Sr 0.2450 0.1326 0.2612
11 Sr 0.2450 0.3674 0.2612
12 Sr 0.2538 0.6180 0.1868
13 Sr 0.2538 0.8820 0.1868
14 Sr 0.2594 0.7500 0.5232
15 Sr 0.2721 0.2500 0.5695
16 Sr 0.3593 0.2500 0.9497
17 Sr 0.4516 0.5167 0.7682
18 Sr 0.4516 0.9833 0.7682
19 Sr 0.4775 0.1076 0.5025
20 Sr 0.4775 0.3924 0.5025
21 Sr 0.4778 0.7500 0.7639
22 Sr 0.5222 0.2500 0.2361
23 Sr 0.5225 0.6076 0.4975
24 Sr 0.5225 0.8924 0.4975
25 Sr 0.5484 0.0167 0.2318
26 Sr 0.5484 0.4833 0.2318
27 Sr 0.6407 0.7500 0.0503
28 Sr 0.7279 0.7500 0.4305
29 Sr 0.7406 0.2500 0.4768
30 Sr 0.7462 0.1180 0.8132
31 Sr 0.7462 0.3820 0.8132
32 Sr 0.7550 0.6326 0.7388
33 Sr 0.7550 0.8674 0.7388
34 Sr 0.7809 0.0237 0.4942
35 Sr 0.7809 0.4763 0.4942
36 Sr 0.8314 0.1396 0.1832
37 Sr 0.8314 0.3604 0.1832
38 Sr 0.8806 0.6208 0.2722
39 Sr 0.8806 0.8792 0.2722
40 Sr 0.9805 0.7500 0.0052
41 Cd 0.0153 0.2500 0.4084
42 Cd 0.2894 0.0447 0.9959
43 Cd 0.2894 0.4553 0.9959
44 Cd 0.4675 0.7500 0.2742
45 Cd 0.5325 0.2500 0.7258
46 Cd 0.7106 0.5447 0.0041
47 Cd 0.7106 0.9553 0.0041
48 Cd 0.9847 0.7500 0.5916
49 N 0.0014 0.5266 0.7737
50 N 0.0014 0.9734 0.7737
51 N 0.0326 0.2500 0.2222
52 N 0.0812 0.5260 0.2285
53 N 0.0812 0.9740 0.2285
54 N 0.1546 0.2500 0.8371
55 N 0.2028 0.7500 0.0412
56 N 0.3060 0.0948 0.6329
57 N 0.3060 0.4052 0.6329
58 N 0.3103 0.6339 0.6600
59 N 0.3103 0.8661 0.6600
60 N 0.3673 0.5139 0.3564
61 N 0.3673 0.9861 0.3564
62 N 0.3765 0.2500 0.3907
63 N 0.3930 0.1331 0.1082
64 N 0.3930 0.3669 0.1082
65 N 0.6070 0.6331 0.8918
66 N 0.6070 0.8669 0.8918
67 N 0.6235 0.7500 0.6093
68 N 0.6327 0.0139 0.6436
69 N 0.6327 0.4861 0.6436
70 N 0.6897 0.1339 0.3400
71 N 0.6897 0.3661 0.3400
72 N 0.6940 0.5948 0.3671
73 N 0.6940 0.9052 0.3671
74 N 0.7972 0.2500 0.9588
75 N 0.8454 0.7500 0.1629
76 N 0.9188 0.0260 0.7715
77 N 0.9188 0.4740 0.7715
78 N 0.9674 0.7500 0.7778
79 N 0.9986 0.0266 0.2263
80 N 0.9986 0.4734 0.2263


Below is a relaxed structure of KEu3, with properties calculated at the GGA-PBE level.

Calculated values
The calculation puts the theoretical density at 4.0 g cm⁻³. The value obtained for the relative energy among the computed polymorphs is 0.00 eV/f.u. The calculation puts the energy at -124.4 eV for the cell shown. Its formation energy is 0.198 eV per atom.

Cell lengths 9.3305, 9.3305, 9.3305 Å; angles 90.00, 90.00, 90.00 degrees
Sites, in units of the cell vectors:
1 K 0.0000 0.0000 0.0000
2 K 0.0000 0.5000 0.5000
3 K 0.5000 0.0000 0.5000
4 K 0.5000 0.5000 0.0000
5 Eu 0.0000 0.0000 0.5000
6 Eu 0.0000 0.5000 0.0000
7 Eu 0.2500 0.2500 0.2500
8 Eu 0.2500 0.2500 0.7500
9 Eu 0.2500 0.7500 0.2500
10 Eu 0.2500 0.7500 0.7500
11 Eu 0.5000 0.0000 0.0000
12 Eu 0.5000 0.5000 0.5000
13 Eu 0.7500 0.2500 0.2500
14 Eu 0.7500 0.2500 0.7500
15 Eu 0.7500 0.7500 0.2500
16 Eu 0.7500 0.7500 0.7500


Below is a relaxed structure of LiSi, with properties calculated at the GGA-PBE level.

Calculated values
The calculation puts the theoretical density at 1.9 g cm⁻³. The calculation puts the energy at -61.8 eV for the cell shown. Its formation energy is -0.162 eV per atom. The calculation puts the total energy after the MP2020 corrections at -61.3 eV/cell.

Cell lengths 7.1928, 7.1928, 7.1928 Å; angles 99.16, 99.16, 132.96 degrees
Sites, in units of the cell vectors:
1 Li 0.0266 0.3312 0.9665
2 Li 0.1353 0.9399 0.4665
3 Li 0.1688 0.6353 0.6954
4 Li 0.4399 0.4734 0.8046
5 Li 0.5601 0.5266 0.1954
6 Li 0.8312 0.3647 0.3046
7 Li 0.8647 0.0601 0.5335
8 Li 0.9734 0.6688 0.0335
9 Si 0.0473 0.9839 0.8420
10 Si 0.2947 0.4527 0.4367
11 Si 0.3580 0.7947 0.3420
12 Si 0.4839 0.1420 0.9367
13 Si 0.5161 0.8580 0.0633
14 Si 0.6420 0.2053 0.6580
15 Si 0.7053 0.5473 0.5633
16 Si 0.9527 0.0161 0.1580


Below is a relaxed structure of TaVCu6S8, with properties calculated at the GGA-PBE level.

Calculated values
The calculation puts the theoretical density at 4.4 g cm⁻³. The calculation puts the energy at -88.4 eV for the cell shown. Its formation energy is -0.863 eV per atom. The calculation puts the total energy after the MP2020 corrections at -92.4 eV/cell. The calculation puts the largest piezoelectric modulus at 0.30 C/m2.

Cell lengths 7.7644, 7.7644, 5.4999 Å; angles 90.00, 90.00, 90.00 degrees
Sites, in units of the cell vectors:
1 Ta 0.0000 0.0000 0.0000
2 V 0.5000 0.5000 0.0000
3 Cu 0.0000 0.0000 0.5000
4 Cu 0.2538 0.2538 0.0000
5 Cu 0.2538 0.7462 0.0000
6 Cu 0.5000 0.5000 0.5000
7 Cu 0.7462 0.2538 0.0000
8 Cu 0.7462 0.7462 0.0000
9 S 0.0000 0.2443 0.7566
10 S 0.0000 0.7557 0.7566
11 S 0.2443 0.0000 0.2434
12 S 0.2672 0.5000 0.2341
13 S 0.5000 0.2672 0.7659
14 S 0.5000 0.7328 0.7659
15 S 0.7328 0.5000 0.2341
16 S 0.7557 0.0000 0.2434


Below is a relaxed structure of Mg2TeS, with properties calculated at the GGA-PBE level.

Calculated values
The calculation puts the theoretical density at 3.0 g cm⁻³. The calculation puts the energy at -44.4 eV for the cell shown. Its formation energy is -1.202 eV per atom. The calculation puts the total energy after the MP2020 corrections at -45.9 eV/cell.

Cell lengths 4.3095, 4.3095, 21.2445 Å; angles 90.00, 90.00, 120.00 degrees
Sites, in units of the cell vectors:
1 Mg 0.0000 0.0000 0.0000
2 Mg 0.0000 0.0000 0.4807
3 Mg 0.3333 0.6667 0.1473
4 Mg 0.3333 0.6667 0.6667
5 Mg 0.6667 0.3333 0.3333
6 Mg 0.6667 0.3333 0.8140
7 Te 0.0000 0.0000 0.6130
8 Te 0.3333 0.6667 0.2797
9 Te 0.6667 0.3333 0.9464
10 S 0.0000 0.0000 0.1161
11 S 0.3333 0.6667 0.7827
12 S 0.6667 0.3333 0.4494


Below is a relaxed structure of Ba3LiIr2O9, with properties calculated at the GGA-PBE level.

Calculated values
The calculation puts the theoretical density at 7.3 g cm⁻³. The calculation puts the energy at -193.0 eV for the cell shown. Its formation energy is -2.187 eV per atom. The calculation puts the total energy after the MP2020 corrections at -205.4 eV/cell.

Cell lengths 5.8590, 5.8590, 14.4506 Å; angles 90.00, 90.00, 120.00 degrees
Sites, in units of the cell vectors:
1 Ba 0.0000 0.0000 0.2500
2 Ba 0.0000 0.0000 0.7500
3 Ba 0.3333 0.6667 0.0834
4 Ba 0.3333 0.6667 0.4166
5 Ba 0.6667 0.3333 0.5834
6 Ba 0.6667 0.3333 0.9166
7 Li 0.0000 0.0000 0.0000
8 Li 0.0000 0.0000 0.5000
9 Ir 0.3333 0.6667 0.6557
10 Ir 0.3333 0.6667 0.8443
11 Ir 0.6667 0.3333 0.1557
12 Ir 0.6667 0.3333 0.3443
13 O 0.0317 0.5159 0.7500
14 O 0.1740 0.3480 0.5839
15 O 0.1740 0.3480 0.9161
16 O 0.1740 0.8260 0.5839
17 O 0.1740 0.8260 0.9161
18 O 0.3480 0.1740 0.0839
19 O 0.3480 0.1740 0.4161
20 O 0.4841 0.5159 0.7500
21 O 0.4841 0.9683 0.7500
22 O 0.5159 0.0317 0.2500
23 O 0.5159 0.4841 0.2500
24 O 0.6520 0.8260 0.5839
25 O 0.6520 0.8260 0.9161
26 O 0.8260 0.1740 0.0839
27 O 0.8260 0.1740 0.4161
28 O 0.8260 0.6520 0.0839
29 O 0.8260 0.6520 0.4161
30 O 0.9683 0.4841 0.2500